# 1
Entry from the Materials Project database: a geometry-optimized SrWO4 structure (r2SCAN).

Cell: 5.440 5.440 7.102 Å, 112.52 112.52 90.02°
Element x y z (fractional)
1 Sr 0.625 0.875 0.250
2 Sr 0.375 0.125 0.750
3 W 0.125 0.375 0.250
4 W 0.875 0.625 0.750
5 O 0.194 0.566 0.916
6 O 0.350 0.694 0.416
7 O 0.066 0.222 0.416
8 O 0.722 0.850 0.916
9 O 0.278 0.150 0.084
10 O 0.934 0.778 0.584
11 O 0.650 0.306 0.584
12 O 0.806 0.434 0.084

Summary:
Total moment = 0.000 μB/atom
Energy relative to the elements = -2.8563 eV/atom
V = 176.7 Å³ per cell


# 2
Entry from the Materials Project database: a geometry-optimized Sr2Zr7O16 structure (r2SCAN).

Cell: 9.689 9.689 9.689 Å, 38.68 38.68 38.68°
Element x y z (fractional)
1 Sr 0.334 0.334 0.334
2 Sr 0.666 0.666 0.666
3 Zr 0.486 0.745 0.113
4 Zr 0.255 0.887 0.514
5 Zr 0.887 0.514 0.255
6 Zr 0.000 0.000 0.000
7 Zr 0.113 0.486 0.745
8 Zr 0.745 0.113 0.486
9 Zr 0.514 0.255 0.887
10 O 0.322 0.768 0.036
11 O 0.587 0.850 0.153
12 O 0.150 0.847 0.413
13 O 0.232 0.964 0.678
14 O 0.964 0.678 0.232
15 O 0.847 0.413 0.150
16 O 0.763 0.763 0.763
17 O 0.572 0.572 0.572
18 O 0.237 0.237 0.237
19 O 0.428 0.428 0.428
20 O 0.153 0.587 0.850
21 O 0.036 0.322 0.768
22 O 0.768 0.036 0.322
23 O 0.850 0.153 0.587
24 O 0.413 0.150 0.847
25 O 0.678 0.232 0.964

Summary:
Total moment = 0.000 μB/atom
Energy relative to the elements = -3.7176 eV/atom
V = 319.4 Å³ per cell


# 3
Entry from the Materials Project database: a geometry-optimized Ta2O5 structure (r2SCAN).

Cell: 3.841 3.874 13.037 Å, 90.00 90.00 90.00°
Element x y z (fractional)
1 Ta 0.019 0.977 0.146
2 Ta 0.519 0.023 0.354
3 Ta 0.519 0.023 0.646
4 Ta 0.019 0.977 0.854
5 O 0.519 0.998 0.185
6 O 0.019 0.002 0.315
7 O 0.019 0.002 0.685
8 O 0.519 0.998 0.815
9 O 0.019 0.492 0.851
10 O 0.519 0.508 0.649
11 O 0.519 0.508 0.351
12 O 0.519 0.005 0.500
13 O 0.019 0.995 0.000
14 O 0.019 0.492 0.149

Summary:
Total moment = 0.000 μB/atom
Energy relative to the elements = -3.0754 eV/atom
V = 194.0 Å³ per cell


# 4
Entry from the Materials Project database: a geometry-optimized Ta2O5 structure (r2SCAN).

Cell: 3.564 5.664 11.867 Å, 90.00 90.00 90.00°
Element x y z (fractional)
1 Ta 0.500 0.170 0.860
2 Ta 0.500 0.830 0.140
3 Ta 0.500 0.670 0.640
4 Ta 0.500 0.330 0.360
5 O 0.000 0.282 0.890
6 O 0.000 0.718 0.110
7 O 0.000 0.782 0.610
8 O 0.000 0.218 0.390
9 O 0.500 0.422 0.736
10 O 0.500 0.578 0.264
11 O 0.500 0.922 0.764
12 O 0.500 0.078 0.236
13 O 0.500 0.000 0.000
14 O 0.500 0.500 0.500

Summary:
Total moment = 0.000 μB/atom
Energy relative to the elements = -2.9726 eV/atom
V = 239.5 Å³ per cell


# 5
Entry from the Materials Project database: a geometry-optimized Ta2O5 structure (r2SCAN).

Cell: 3.863 3.841 6.778 Å, 74.43 90.00 90.00°
Element x y z (fractional)
1 Ta 0.000 0.350 0.791
2 Ta 0.000 0.650 0.209
3 O 0.500 0.338 0.798
4 O 0.500 0.662 0.202
5 O 0.000 0.810 0.871
6 O 0.000 0.190 0.129
7 O 0.000 0.500 0.500

Summary:
Total moment = 0.000 μB/atom
Energy relative to the elements = -3.0751 eV/atom
V = 96.9 Å³ per cell


# 6
Entry from the Materials Project database: a geometry-optimized Ta2O5 structure (r2SCAN).

Cell: 4.868 5.538 6.868 Å, 102.89 110.76 90.00°
Element x y z (fractional)
1 Ta 0.614 0.233 0.720
2 Ta 0.894 0.267 0.280
3 Ta 0.386 0.767 0.280
4 Ta 0.106 0.733 0.720
5 O 0.276 0.128 0.410
6 O 0.866 0.372 0.590
7 O 0.724 0.872 0.590
8 O 0.134 0.628 0.410
9 O 0.101 0.750 0.000
10 O 0.899 0.250 0.000
11 O 0.664 0.975 0.220
12 O 0.445 0.525 0.780
13 O 0.336 0.025 0.780
14 O 0.555 0.475 0.220

Summary:
Total moment = 0.000 μB/atom
Energy relative to the elements = -3.0890 eV/atom
V = 168.1 Å³ per cell


# 7
Entry from the Materials Project database: a geometry-optimized Ta2O5 structure (r2SCAN).

Cell: 6.999 7.464 7.233 Å, 58.30 61.07 62.04°
Element x y z (fractional)
1 Ta 0.249 0.985 0.016
2 Ta 0.239 0.025 0.524
3 Ta 0.777 0.985 0.016
4 Ta 0.287 0.472 0.981
5 Ta 0.719 0.572 0.017
6 Ta 0.784 0.978 0.482
7 O 0.066 0.080 0.817
8 O 0.195 0.321 0.316
9 O 0.396 0.650 0.048
10 O 0.156 0.965 0.334
11 O 0.462 0.031 0.671
12 O 0.313 0.706 0.695
13 O 0.209 0.289 0.931
14 O 0.555 0.863 0.053
15 O 0.748 0.285 0.246
16 O 0.573 0.965 0.335
17 O 0.864 0.031 0.671
18 O 0.599 0.288 0.931
19 O 0.934 0.650 0.048
20 O 0.834 0.658 0.700
21 O 0.968 0.880 0.211

Summary:
Total moment = 0.000 μB/atom
Energy relative to the elements = -3.0313 eV/atom
V = 269.4 Å³ per cell


# 8
Entry from the Materials Project database: a geometry-optimized Ta2O5 structure (r2SCAN).

Cell: 5.419 5.419 5.551 Å, 60.08 60.08 77.70°
Element x y z (fractional)
1 Ta 0.204 0.235 0.880
2 Ta 0.765 0.796 0.120
3 O 0.484 0.516 0.500
4 O 0.984 0.515 0.000
5 O 0.895 0.926 0.289
6 O 0.074 0.105 0.711
7 O 0.485 0.016 0.000

Summary:
Total moment = 0.000 μB/atom
Energy relative to the elements = -2.9331 eV/atom
V = 122.3 Å³ per cell